Entry 1:
# PBE-GGA Er3Mn3Ga2Ge, optimized geometry
# Crystal system: hexagonal
# Offset from the most stable computed form, meV/atom: 0.0
data_Er3Mn3Ga2Ge
_chemical_formula_sum 'Er3 Mn3 Ga2 Ge1'
_cell_length_a 6.9913
_cell_length_b 6.9913
_cell_length_c 4.1141
_cell_angle_alpha 90.00
_cell_angle_beta 90.00
_cell_angle_gamma 120.00
_symmetry_space_group_name_H-M 'P -6'
_symmetry_Int_Tables_number 174
loop_
_symmetry_equiv_pos_as_xyz
'x,y,z'
'-x+y,-x,-z'
'-y,x-y,z'
'x,y,-z'
'-x+y,-x,z'
'-y,x-y,-z'
loop_
_atom_site_label
_atom_site_fract_x
_atom_site_fract_y
_atom_site_fract_z
_atom_site_occupancy
Er1 0.0887 0.3354 0.0000 1
Mn1 0.4394 0.3375 0.5000 1
Ga1 0.0000 0.0000 0.5000 1
Ga2 0.6667 0.3333 0.0000 1
Ge1 0.3333 0.6667 0.5000 1

***

Entry 2:
# PBE-GGA Er3Mn3Ga2Ge, optimized geometry
# Crystal system: hexagonal
# Offset from the most stable computed form, meV/atom: 37.6
data_Er3Mn3Ga2Ge
_chemical_formula_sum 'Er3 Mn3 Ga2 Ge1'
_cell_length_a 7.0993
_cell_length_b 7.0993
_cell_length_c 4.0482
_cell_angle_alpha 90.00
_cell_angle_beta 90.00
_cell_angle_gamma 120.00
_symmetry_space_group_name_H-M 'P -6 2 m'
_symmetry_Int_Tables_number 189
_symmetry_space_group_name_Hall 'P -6 -2'
loop_
_atom_site_label
_atom_site_fract_x
_atom_site_fract_y
_atom_site_fract_z
_atom_site_occupancy
Er1 0.0000 0.4133 0.0000 1
Mn1 0.0000 0.7665 0.5000 1
Ga1 0.3333 0.6667 0.5000 1
Ge1 0.0000 0.0000 0.0000 1

***

Entry 3:
# PBE-GGA LiEr2Ga, optimized geometry
# Crystal system: cubic
data_LiEr2Ga
_chemical_formula_sum 'Li4 Er8 Ga4'
_cell_length_a 7.142
_cell_length_b 7.142
_cell_length_c 7.142
_cell_angle_alpha 90.00
_cell_angle_beta 90.00
_cell_angle_gamma 90.00
_symmetry_space_group_name_H-M 'F m -3 m'
_symmetry_Int_Tables_number 225
_symmetry_space_group_name_Hall '-F 4 2 3'
loop_
_atom_site_label
_atom_site_fract_x
_atom_site_fract_y
_atom_site_fract_z
_atom_site_occupancy
Li1 0.000 0.000 0.000 1
Er1 0.250 0.250 0.250 1
Ga1 0.000 0.000 0.500 1

***

Entry 4:
# PBE-GGA Er2MnGa3, optimized geometry
# Crystal system: monoclinic
data_Er2MnGa3
_chemical_formula_sum 'Er4 Mn2 Ga6'
_cell_length_a 10.443
_cell_length_b 4.366
_cell_length_c 7.069
_cell_angle_alpha 90.00
_cell_angle_beta 132.01
_cell_angle_gamma 90.00
_symmetry_space_group_name_H-M 'C 1 m 1'
_symmetry_Int_Tables_number 8
loop_
_symmetry_equiv_pos_as_xyz
'x,y,z'
'x,-y,z'
'x+1/2,y+1/2,z'
'x+1/2,-y+1/2,z'
loop_
_atom_site_label
_atom_site_fract_x
_atom_site_fract_y
_atom_site_fract_z
_atom_site_occupancy
Er1 0.000 0.000 0.000 1
Er2 0.087 0.000 0.589 1
Mn1 0.211 0.500 0.414 1
Ga1 0.206 0.500 0.010 1
Ga2 0.378 0.000 0.584 1
Ga3 0.388 0.000 0.187 1

***

Entry 5:
# PBE-GGA ErGa2Ni3, optimized geometry
# Crystal system: hexagonal
data_ErGa2Ni3
_chemical_formula_sum 'Er3 Ga6 Ni9'
_cell_length_a 8.7021
_cell_length_b 8.7021
_cell_length_c 4.0728
_cell_angle_alpha 90.00
_cell_angle_beta 90.00
_cell_angle_gamma 120.00
_symmetry_space_group_name_H-M 'P -6 2 m'
_symmetry_Int_Tables_number 189
_symmetry_space_group_name_Hall 'P -6 -2'
loop_
_atom_site_label
_atom_site_fract_x
_atom_site_fract_y
_atom_site_fract_z
_atom_site_occupancy
Er1 0.0000 0.0000 0.0000 1
Er2 0.3333 0.6667 0.5000 1
Ga1 0.0000 0.2723 0.5000 1
Ga2 0.0000 0.5156 0.0000 1
Ni1 0.0000 0.7049 0.5000 1
Ni2 0.1776 0.3723 0.0000 1

***

Entry 6:
# PBE-GGA ErGa4Ni, optimized geometry
# Crystal system: orthorhombic
data_ErGa4Ni
_chemical_formula_sum 'Er4 Ga16 Ni4'
_cell_length_a 4.120
_cell_length_b 15.153
_cell_length_c 6.594
_cell_angle_alpha 90.00
_cell_angle_beta 90.00
_cell_angle_gamma 90.00
_symmetry_space_group_name_H-M 'C m c m'
_symmetry_Int_Tables_number 63
_symmetry_space_group_name_Hall '-C 2c 2'
loop_
_atom_site_label
_atom_site_fract_x
_atom_site_fract_y
_atom_site_fract_z
_atom_site_occupancy
Er1 0.000 0.119 0.250 1
Ga1 0.000 0.071 0.750 1
Ga2 0.000 0.315 0.051 1
Ga3 0.000 0.500 0.000 1
Ni1 0.000 0.225 0.750 1

***

Entry 7:
# PBE-GGA Er2GaNi2, optimized geometry
# Crystal system: orthorhombic
data_Er2GaNi2
_chemical_formula_sum 'Er4 Ga2 Ni4'
_cell_length_a 4.156
_cell_length_b 5.331
_cell_length_c 8.153
_cell_angle_alpha 90.00
_cell_angle_beta 90.00
_cell_angle_gamma 90.00
_symmetry_space_group_name_H-M 'I m m m'
_symmetry_Int_Tables_number 71
_symmetry_space_group_name_Hall '-I 2 2'
loop_
_atom_site_label
_atom_site_fract_x
_atom_site_fract_y
_atom_site_fract_z
_atom_site_occupancy
Er1 0.000 0.000 0.203 1
Ga1 0.000 0.500 0.000 1
Ni1 0.000 0.271 0.500 1

***

Entry 8:
# PBE-GGA ErGaNi, optimized geometry
# Crystal system: orthorhombic
data_ErGaNi
_chemical_formula_sum 'Er4 Ga4 Ni4'
_cell_length_a 6.753
_cell_length_b 4.241
_cell_length_c 7.346
_cell_angle_alpha 90.00
_cell_angle_beta 90.00
_cell_angle_gamma 90.00
_symmetry_space_group_name_H-M 'P n m a'
_symmetry_Int_Tables_number 62
loop_
_symmetry_equiv_pos_as_xyz
'x,y,z'
'-x,-y,-z'
'-x+1/2,-y,z+1/2'
'x+1/2,y,-z+1/2'
'x+1/2,-y+1/2,-z+1/2'
'-x+1/2,y+1/2,z+1/2'
'-x,y+1/2,-z'
'x,-y+1/2,z'
loop_
_atom_site_label
_atom_site_fract_x
_atom_site_fract_y
_atom_site_fract_z
_atom_site_occupancy
Er1 0.016 0.250 0.195 1
Ga1 0.176 0.250 0.573 1
Ni1 0.212 0.750 0.398 1

***

Computed E_form (meV per atom) in order:
-371 -333 -312 -473 -561 -527 -597 -654
Computed final energy (eV per atom) in order:
-6.13 -6.10 -3.83 -5.04 -5.22 -4.27 -5.34 -5.11